No. 1
Here is a geometry-optimized NaBS2O8 structure from Materials Project. Energies are from GGA-PBE.

Output
symmetry: P2/c
formation enthalpy at 0 K: -2104 meV per atom
theoretical density: 2353 kg/m3

abc: 5.553 7.688 7.886
angles: 90.00 108.67 90.00
Atoms (fractional coordinates):
Na 0.000 0.067 0.250
Na 0.000 0.933 0.750
B 0.500 0.458 0.750
B 0.500 0.542 0.250
S 0.370 0.277 0.004
S 0.370 0.723 0.504
S 0.630 0.277 0.496
S 0.630 0.723 0.996
O 0.165 0.157 0.989
O 0.165 0.843 0.489
O 0.321 0.439 0.106
O 0.321 0.561 0.606
O 0.326 0.346 0.812
O 0.326 0.654 0.312
O 0.373 0.215 0.418
O 0.373 0.785 0.918
O 0.627 0.215 0.082
O 0.627 0.785 0.582
O 0.674 0.346 0.688
O 0.674 0.654 0.188
O 0.679 0.439 0.394
O 0.679 0.561 0.894
O 0.835 0.157 0.511
O 0.835 0.843 0.011


No. 2
Here is a geometry-optimized Na6B4Sb2SO16 structure from Materials Project. Energies are from GGA-PBE.

Output
symmetry: Fd-3
formation enthalpy at 0 K: -2307 meV per atom
theoretical density: 3212 kg/m3

abc: 10.139 10.139 10.139
angles: 60.00 60.00 60.00
Atoms (fractional coordinates):
Na 0.087 0.087 0.663
Na 0.087 0.663 0.087
Na 0.087 0.663 0.663
Na 0.337 0.337 0.913
Na 0.337 0.913 0.337
Na 0.337 0.913 0.913
Na 0.663 0.087 0.087
Na 0.663 0.087 0.663
Na 0.663 0.663 0.087
Na 0.913 0.337 0.337
Na 0.913 0.337 0.913
Na 0.913 0.913 0.337
B 0.282 0.282 0.282
B 0.282 0.282 0.655
B 0.282 0.655 0.282
B 0.345 0.718 0.718
B 0.655 0.282 0.282
B 0.718 0.345 0.718
B 0.718 0.718 0.345
B 0.718 0.718 0.718
Sb 0.000 0.500 0.500
Sb 0.500 0.000 0.500
Sb 0.500 0.500 0.000
Sb 0.500 0.500 0.500
S 0.125 0.125 0.125
S 0.875 0.875 0.875
O 0.065 0.065 0.065
O 0.065 0.065 0.306
O 0.065 0.306 0.065
O 0.134 0.303 0.658
O 0.134 0.405 0.303
O 0.134 0.658 0.405
O 0.303 0.134 0.405
O 0.303 0.405 0.658
O 0.303 0.658 0.134
O 0.306 0.065 0.065
O 0.342 0.595 0.866
O 0.342 0.697 0.595
O 0.342 0.866 0.697
O 0.405 0.134 0.658
O 0.405 0.303 0.134
O 0.405 0.658 0.303
O 0.595 0.342 0.697
O 0.595 0.697 0.866
O 0.595 0.866 0.342
O 0.658 0.134 0.303
O 0.658 0.303 0.405
O 0.658 0.405 0.134
O 0.694 0.935 0.935
O 0.697 0.342 0.866
O 0.697 0.595 0.342
O 0.697 0.866 0.595
O 0.866 0.342 0.595
O 0.866 0.595 0.697
O 0.866 0.697 0.342
O 0.935 0.694 0.935
O 0.935 0.935 0.694
O 0.935 0.935 0.935


No. 3
Here is a geometry-optimized Na2BSbSO7 structure from Materials Project. Energies are from GGA-PBE.

Output
symmetry: P2_1/m
formation enthalpy at 0 K: -2158 meV per atom
theoretical density: 2931 kg/m3

abc: 5.571 6.906 9.508
angles: 90.00 92.28 90.00
Atoms (fractional coordinates):
Na 0.244 0.002 0.197
Na 0.244 0.498 0.197
Na 0.756 0.502 0.803
Na 0.756 0.998 0.803
B 0.259 0.250 0.913
B 0.741 0.750 0.087
Sb 0.227 0.250 0.645
Sb 0.773 0.750 0.355
S 0.277 0.750 0.605
S 0.723 0.250 0.395
O 0.041 0.250 0.823
O 0.150 0.577 0.665
O 0.150 0.923 0.665
O 0.244 0.750 0.448
O 0.269 0.250 0.050
O 0.458 0.250 0.818
O 0.467 0.250 0.353
O 0.533 0.750 0.647
O 0.542 0.750 0.182
O 0.731 0.750 0.950
O 0.756 0.250 0.552
O 0.850 0.077 0.335
O 0.850 0.423 0.335
O 0.959 0.750 0.177


- formation enthalpy at 0 K of number 1 (NaBS2O8)?
  -2104 meV per atom


- What is the formula in the third record?
  Na2BSbSO7


- Which of these has the lowest theoretical density?
  NaBS2O8